The following is a DFT calculation (PBE) of Nb2TeO8 after structural relaxation.

a b c (Å): 10.489 10.489 5.259
angles (deg): 87.01 87.01 34.36
Positions (direct):
Nb 0.694 0.041 0.730
Nb 0.959 0.306 0.770
Nb 0.306 0.959 0.270
Nb 0.041 0.694 0.230
Te 0.354 0.646 0.750
Te 0.646 0.354 0.250
O 0.789 0.097 0.414
O 0.903 0.211 0.086
O 0.211 0.903 0.586
O 0.097 0.789 0.914
O 0.549 0.346 0.932
O 0.654 0.451 0.568
O 0.451 0.654 0.068
O 0.346 0.549 0.432
O 0.754 0.922 0.066
O 0.078 0.246 0.434
O 0.192 0.436 0.143
O 0.564 0.808 0.357
O 0.808 0.564 0.857
O 0.436 0.192 0.643
O 0.922 0.754 0.566
O 0.246 0.078 0.934

Output
The final energy is -7.48 eV per atom. As for the space group: C2/c (15). The formation energy is -2394 kJ/mol of formula units.



The following is a DFT calculation (PBE) of Sb3Rh after structural relaxation.

a b c (Å): 8.125 8.125 8.125
angles (deg): 109.47 109.47 109.47
Positions (direct):
Sb 0.155 0.815 0.660
Sb 0.845 0.185 0.340
Sb 0.845 0.505 0.660
Sb 0.155 0.495 0.340
Sb 0.815 0.660 0.155
Sb 0.185 0.340 0.845
Sb 0.505 0.660 0.845
Sb 0.495 0.340 0.155
Sb 0.660 0.155 0.815
Sb 0.340 0.845 0.185
Sb 0.660 0.845 0.505
Sb 0.340 0.155 0.495
Rh 0.000 0.000 0.500
Rh 0.500 0.000 0.000
Rh 0.000 0.500 0.000
Rh 0.500 0.500 0.500

Output
The final energy is -5.33 eV per atom. As for the space group: Im-3 (204). The formation energy is -153 kJ/mol of formula units.



The following is a DFT calculation (PBE) of LiCaAl3N4 after structural relaxation.

a b c (Å): 10.247 10.247 10.247
angles (deg): 113.48 113.48 101.71
Positions (direct):
Li 0.295 0.926 0.339
Li 0.587 0.956 0.661
Li 0.676 0.837 0.130
Li 0.706 0.545 0.870
Li 0.455 0.324 0.161
Li 0.163 0.294 0.839
Li 0.074 0.413 0.370
Li 0.044 0.705 0.630
Ca 0.328 0.816 0.022
Ca 0.794 0.306 0.978
Ca 0.566 0.044 0.988
Ca 0.056 0.578 0.012
Ca 0.422 0.434 0.478
Ca 0.956 0.944 0.522
Ca 0.184 0.206 0.512
Ca 0.694 0.672 0.488
Al 0.217 0.013 0.863
Al 0.150 0.354 0.137
Al 0.763 0.400 0.296
Al 0.104 0.467 0.704
Al 0.533 0.237 0.637
Al 0.600 0.896 0.363
Al 0.987 0.850 0.204
Al 0.646 0.783 0.796
Al 0.455 0.274 0.861
Al 0.413 0.594 0.139
Al 0.024 0.663 0.319
Al 0.344 0.705 0.681
Al 0.295 0.976 0.639
Al 0.337 0.656 0.361
Al 0.726 0.587 0.181
Al 0.406 0.545 0.819
Al 0.963 0.777 0.858
Al 0.919 0.106 0.142
Al 0.527 0.169 0.314
Al 0.856 0.213 0.686
Al 0.787 0.473 0.642
Al 0.831 0.144 0.358
Al 0.223 0.081 0.186
Al 0.894 0.037 0.814
N 0.384 0.773 0.270
N 0.504 0.114 0.730
N 0.523 0.754 0.890
N 0.864 0.634 0.110
N 0.366 0.477 0.230
N 0.246 0.136 0.770
N 0.227 0.496 0.610
N 0.886 0.616 0.390
N 0.091 0.869 0.092
N 0.777 0.999 0.908
N 0.619 0.027 0.278
N 0.749 0.341 0.722
N 0.659 0.381 0.408
N 0.973 0.251 0.592
N 0.131 0.223 0.222
N 0.001 0.909 0.778
N 0.350 0.090 0.091
N 0.998 0.258 0.909
N 0.840 0.248 0.240
N 0.008 0.600 0.760
N 0.400 0.160 0.409
N 0.752 0.992 0.591
N 0.910 0.002 0.260
N 0.742 0.650 0.740
N 0.611 0.368 0.084
N 0.284 0.526 0.916
N 0.118 0.534 0.257
N 0.276 0.861 0.743
N 0.139 0.882 0.416
N 0.466 0.724 0.584
N 0.632 0.716 0.243
N 0.474 0.389 0.757

Output
The final energy is -6.58 eV per atom. As for the space group: I4_1/a (88). The formation energy is -1171 kJ/mol of formula units.



The following is a DFT calculation (PBE) of Na2CdO3 after structural relaxation.

a b c (Å): 5.811 5.811 5.809
angles (deg): 80.27 80.27 119.88
Positions (direct):
Na 0.500 0.500 0.000
Na 0.838 0.162 0.000
Na 0.162 0.838 0.000
Na 0.000 0.000 0.500
Cd 0.666 0.334 0.500
Cd 0.334 0.666 0.500
O 0.567 0.924 0.727
O 0.433 0.076 0.273
O 0.722 0.722 0.269
O 0.924 0.567 0.727
O 0.076 0.433 0.273
O 0.278 0.278 0.731

Output
The final energy is -3.99 eV per atom. As for the space group: C2/m (12). The formation energy is -731 kJ/mol of formula units.



The following is a DFT calculation (PBE) of SbC2NO2F6 after structural relaxation.

a b c (Å): 5.597 9.020 15.591
angles (deg): 78.96 90.00 90.00
Positions (direct):
Sb 0.741 0.295 0.402
Sb 0.241 0.705 0.098
Sb 0.259 0.705 0.598
Sb 0.759 0.295 0.902
C 0.851 0.644 0.858
C 0.649 0.644 0.358
C 0.407 0.149 0.169
C 0.351 0.356 0.642
C 0.093 0.149 0.669
C 0.149 0.356 0.142
C 0.593 0.851 0.831
C 0.907 0.851 0.331
N 0.708 0.790 0.339
N 0.208 0.210 0.161
N 0.792 0.790 0.839
N 0.292 0.210 0.661
O 0.422 0.925 0.820
O 0.078 0.925 0.320
O 0.708 0.536 0.875
O 0.922 0.075 0.680
O 0.578 0.075 0.180
O 0.792 0.536 0.375
O 0.292 0.464 0.125
O 0.208 0.464 0.625
F 0.054 0.676 0.203
F 0.933 0.298 0.502
F 0.478 0.296 0.833
F 0.466 0.326 0.468
F 0.022 0.296 0.333
F 0.083 0.620 0.856
F 0.522 0.704 0.167
F 0.978 0.704 0.667
F 0.433 0.702 0.998
F 0.583 0.380 0.644
F 0.291 0.918 0.578
F 0.554 0.324 0.297
F 0.946 0.324 0.797
F 0.791 0.082 0.922
F 0.709 0.082 0.422
F 0.917 0.380 0.144
F 0.417 0.620 0.356
F 0.209 0.918 0.078
F 0.446 0.676 0.703
F 0.034 0.326 0.968
F 0.067 0.702 0.498
F 0.966 0.674 0.032
F 0.534 0.674 0.532
F 0.567 0.298 0.002

Output
The final energy is -5.92 eV per atom. As for the space group: P2_1/c (14). The formation energy is -2205 kJ/mol of formula units.



The following is a DFT calculation (PBE) of BaCoN after structural relaxation.

a b c (Å): 5.474 9.709 23.620
angles (deg): 90.00 90.00 90.00
Positions (direct):
Ba 0.005 0.998 0.250
Ba 0.507 0.159 0.451
Ba 0.960 0.672 0.849
Ba 0.540 0.172 0.849
Ba 0.493 0.841 0.549
Ba 0.993 0.659 0.049
Ba 0.040 0.328 0.349
Ba 0.460 0.828 0.151
Ba 0.960 0.672 0.651
Ba 0.007 0.341 0.951
Ba 0.460 0.828 0.349
Ba 0.007 0.341 0.549
Ba 0.040 0.328 0.151
Ba 0.993 0.659 0.451
Ba 0.493 0.841 0.951
Ba 0.495 0.498 0.250
Ba 0.540 0.172 0.651
Ba 0.505 0.502 0.750
Ba 0.995 0.002 0.750
Ba 0.507 0.159 0.049
Co 0.457 0.850 0.802
Co 0.543 0.150 0.302
Co 0.043 0.350 0.802
Co 0.042 0.993 0.897
Co 0.958 0.007 0.397
Co 0.458 0.493 0.897
Co 0.957 0.650 0.198
Co 0.458 0.493 0.603
Co 0.542 0.507 0.397
Co 0.042 0.993 0.603
Co 0.043 0.350 0.698
Co 0.000 0.000 0.500
Co 0.543 0.150 0.198
Co 0.957 0.650 0.302
Co 0.457 0.850 0.698
Co 0.000 0.000 0.000
Co 0.542 0.507 0.103
Co 0.958 0.007 0.103
Co 0.500 0.500 0.500
Co 0.500 0.500 0.000
N 0.252 0.921 0.851
N 0.752 0.579 0.351
N 0.682 0.570 0.557
N 0.248 0.421 0.851
N 0.337 0.223 0.250
N 0.818 0.070 0.557
N 0.163 0.723 0.250
N 0.663 0.777 0.750
N 0.682 0.570 0.943
N 0.748 0.079 0.149
N 0.752 0.579 0.149
N 0.318 0.430 0.443
N 0.182 0.930 0.443
N 0.818 0.070 0.943
N 0.748 0.079 0.351
N 0.837 0.277 0.750
N 0.248 0.421 0.649
N 0.182 0.930 0.057
N 0.252 0.921 0.649
N 0.318 0.430 0.057

Output
The final energy is -6.20 eV per atom. As for the space group: Pnma (62). The formation energy is -153 kJ/mol of formula units.



- Number 6 is which compound?
  BaCoN



- The highest final energy belongs to which entry?
  Na2CdO3



Copy entry 5 word for word.
The following is a DFT calculation (PBE) of SbC2NO2F6 after structural relaxation.

a b c (Å): 5.597 9.020 15.591
angles (deg): 78.96 90.00 90.00
Positions (direct):
Sb 0.741 0.295 0.402
Sb 0.241 0.705 0.098
Sb 0.259 0.705 0.598
Sb 0.759 0.295 0.902
C 0.851 0.644 0.858
C 0.649 0.644 0.358
C 0.407 0.149 0.169
C 0.351 0.356 0.642
C 0.093 0.149 0.669
C 0.149 0.356 0.142
C 0.593 0.851 0.831
C 0.907 0.851 0.331
N 0.708 0.790 0.339
N 0.208 0.210 0.161
N 0.792 0.790 0.839
N 0.292 0.210 0.661
O 0.422 0.925 0.820
O 0.078 0.925 0.320
O 0.708 0.536 0.875
O 0.922 0.075 0.680
O 0.578 0.075 0.180
O 0.792 0.536 0.375
O 0.292 0.464 0.125
O 0.208 0.464 0.625
F 0.054 0.676 0.203
F 0.933 0.298 0.502
F 0.478 0.296 0.833
F 0.466 0.326 0.468
F 0.022 0.296 0.333
F 0.083 0.620 0.856
F 0.522 0.704 0.167
F 0.978 0.704 0.667
F 0.433 0.702 0.998
F 0.583 0.380 0.644
F 0.291 0.918 0.578
F 0.554 0.324 0.297
F 0.946 0.324 0.797
F 0.791 0.082 0.922
F 0.709 0.082 0.422
F 0.917 0.380 0.144
F 0.417 0.620 0.356
F 0.209 0.918 0.078
F 0.446 0.676 0.703
F 0.034 0.326 0.968
F 0.067 0.702 0.498
F 0.966 0.674 0.032
F 0.534 0.674 0.532
F 0.567 0.298 0.002

Output
The final energy is -5.92 eV per atom. As for the space group: P2_1/c (14). The formation energy is -2205 kJ/mol of formula units.



- The lowest final energy belongs to which entry?
  Nb2TeO8